(1)
{"formula": "Na3V3O8", "functional": "PBE+U", "state": "relaxed", "formation_energy_mev_per_atom": -2368, "magnetic_moment_mub_per_cell": 0.0, "spacegroup": "P-1", "energy_mp2020_ev_per_atom": -7.43, "lattice": [[5.623, 0.000, 0.000], [-2.812, 8.440, 0.000], [-2.810, -2.817, 7.960]], "species": ["Na", "Na", "Na", "Na", "Na", "Na", "V", "V", "V", "V", "V", "V", "O", "O", "O", "O", "O", "O", "O", "O", "O", "O", "O", "O", "O", "O", "O", "O"], "frac_coords": [[0.001, 0.250, 0.250], [0.333, 0.252, 0.914], [0.333, 0.752, 0.414], [0.667, 0.248, 0.586], [0.667, 0.748, 0.086], [0.999, 0.750, 0.750], [0.000, 0.000, 0.500], [0.000, 0.500, 0.000], [0.333, 0.470, 0.697], [0.333, 0.970, 0.197], [0.667, 0.030, 0.803], [0.667, 0.530, 0.303], [0.165, 0.005, 0.329], [0.165, 0.505, 0.829], [0.166, 0.255, 0.577], [0.166, 0.754, 0.078], [0.332, 0.494, 0.172], [0.332, 0.995, 0.672], [0.333, 0.593, 0.575], [0.334, 0.092, 0.075], [0.666, 0.908, 0.925], [0.667, 0.407, 0.425], [0.668, 0.005, 0.328], [0.668, 0.506, 0.828], [0.834, 0.246, 0.922], [0.834, 0.745, 0.423], [0.835, 0.495, 0.171], [0.835, 0.995, 0.671]]}

=====

(2)
{"formula": "LiFeSbO4", "functional": "PBE+U", "state": "relaxed", "formation_energy_mev_per_atom": -1952, "magnetic_moment_mub_per_cell": 0.0, "relative_energy_ev_per_atom": 0.000, "energy_mp2020_ev_per_atom": -6.85, "lattice": [[6.093, 0.000, 0.001], [0.000, 7.333, 5.185], [0.001, -3.600, 5.090]], "species": ["Fe", "Li", "Sb", "O", "Sb", "Li", "O", "O", "O", "Li", "O", "Fe", "Fe", "O", "O", "O", "Li", "O", "O", "O", "O", "O", "Sb", "Fe", "O", "Sb", "O", "O"], "frac_coords": [[0.500, 0.500, 0.000], [0.250, 0.103, 0.000], [0.250, 0.750, 0.750], [0.750, 0.470, 0.235], [0.750, 0.250, 0.750], [0.750, 0.897, 0.000], [0.750, 0.030, 0.735], [0.975, 0.251, 0.000], [0.250, 0.530, 0.235], [0.250, 0.397, 0.500], [0.525, 0.249, 0.500], [0.000, 0.000, 0.500], [0.500, 0.000, 0.500], [0.975, 0.249, 0.500], [0.250, 0.970, 0.735], [0.025, 0.749, 0.000], [0.750, 0.603, 0.500], [0.250, 0.530, 0.765], [0.750, 0.030, 0.265], [0.750, 0.470, 0.765], [0.025, 0.751, 0.500], [0.525, 0.251, 0.000], [0.750, 0.250, 0.250], [0.000, 0.500, 0.000], [0.475, 0.751, 0.500], [0.250, 0.750, 0.250], [0.250, 0.970, 0.265], [0.475, 0.749, 0.000]]}

=====

(3)
{"formula": "Ni2S3O12", "functional": "PBE+U", "state": "relaxed", "formation_energy_mev_per_atom": -1557, "magnetic_moment_mub_per_cell": 8.0, "spacegroup": "P2_1/c", "relative_energy_ev_per_atom": 0.011, "energy_mp2020_ev_per_atom": -6.46, "lattice": [[8.397, 0.000, 0.000], [0.000, 8.719, 0.000], [-8.229, 0.000, 11.929]], "species": ["Ni", "Ni", "Ni", "Ni", "Ni", "Ni", "Ni", "Ni", "S", "S", "S", "S", "S", "S", "S", "S", "S", "S", "S", "S", "O", "O", "O", "O", "O", "O", "O", "O", "O", "O", "O", "O", "O", "O", "O", "O", "O", "O", "O", "O", "O", "O", "O", "O", "O", "O", "O", "O", "O", "O", "O", "O", "O", "O", "O", "O", "O", "O", "O", "O", "O", "O", "O", "O", "O", "O", "O", "O"], "frac_coords": [[0.131, 0.030, 0.383], [0.131, 0.470, 0.883], [0.361, 0.028, 0.114], [0.361, 0.472, 0.614], [0.639, 0.528, 0.386], [0.639, 0.972, 0.886], [0.869, 0.530, 0.117], [0.869, 0.970, 0.617], [0.036, 0.611, 0.647], [0.036, 0.889, 0.147], [0.257, 0.116, 0.650], [0.257, 0.384, 0.150], [0.449, 0.748, 0.993], [0.449, 0.752, 0.493], [0.551, 0.248, 0.507], [0.551, 0.252, 0.007], [0.743, 0.616, 0.850], [0.743, 0.884, 0.350], [0.964, 0.111, 0.853], [0.964, 0.389, 0.353], [0.027, 0.733, 0.184], [0.027, 0.767, 0.684], [0.121, 0.502, 0.741], [0.121, 0.998, 0.241], [0.134, 0.073, 0.689], [0.134, 0.427, 0.189], [0.155, 0.616, 0.600], [0.155, 0.884, 0.100], [0.165, 0.063, 0.944], [0.165, 0.082, 0.532], [0.165, 0.418, 0.032], [0.165, 0.437, 0.444], [0.255, 0.681, 0.944], [0.255, 0.819, 0.444], [0.298, 0.216, 0.173], [0.298, 0.284, 0.673], [0.399, 0.131, 0.450], [0.399, 0.369, 0.950], [0.447, 0.037, 0.720], [0.447, 0.463, 0.220], [0.453, 0.678, 0.402], [0.453, 0.822, 0.902], [0.490, 0.634, 0.578], [0.490, 0.866, 0.078], [0.510, 0.134, 0.922], [0.510, 0.366, 0.422], [0.547, 0.178, 0.098], [0.547, 0.322, 0.598], [0.553, 0.537, 0.780], [0.553, 0.963, 0.280], [0.601, 0.631, 0.050], [0.601, 0.869, 0.550], [0.702, 0.716, 0.327], [0.702, 0.784, 0.827], [0.745, 0.181, 0.556], [0.745, 0.319, 0.056], [0.835, 0.563, 0.556], [0.835, 0.582, 0.968], [0.835, 0.918, 0.468], [0.835, 0.937, 0.056], [0.845, 0.116, 0.900], [0.845, 0.384, 0.400], [0.866, 0.573, 0.811], [0.866, 0.927, 0.311], [0.879, 0.002, 0.759], [0.879, 0.498, 0.259], [0.973, 0.233, 0.316], [0.973, 0.267, 0.816]]}

=====

(4)
{"formula": "SrLa3Mn3CrO12", "functional": "PBE+U", "state": "relaxed", "formation_energy_mev_per_atom": -2928, "magnetic_moment_mub_per_cell": 14.0, "spacegroup": "R3", "energy_mp2020_ev_per_atom": -8.58, "lattice": [[2.801, 1.617, 8.985], [-2.801, 1.617, 8.985], [0.000, -3.234, 8.985]], "species": ["Sr", "La", "La", "La", "Mn", "Mn", "Mn", "Cr", "O", "O", "O", "O", "O", "O", "O", "O", "O", "O", "O", "O"], "frac_coords": [[0.000, 0.000, 0.000], [0.252, 0.252, 0.252], [0.501, 0.501, 0.501], [0.749, 0.749, 0.749], [0.125, 0.125, 0.125], [0.375, 0.375, 0.375], [0.625, 0.625, 0.625], [0.875, 0.875, 0.875], [0.069, 0.498, 0.934], [0.188, 0.757, 0.313], [0.257, 0.813, 0.675], [0.313, 0.188, 0.757], [0.456, 0.552, 0.990], [0.498, 0.934, 0.069], [0.552, 0.990, 0.456], [0.675, 0.257, 0.813], [0.757, 0.313, 0.188], [0.813, 0.675, 0.257], [0.934, 0.069, 0.498], [0.990, 0.456, 0.552]]}

=====

(5)
{"formula": "Mn2P5O16", "functional": "PBE+U", "state": "relaxed", "formation_energy_mev_per_atom": -2454, "magnetic_moment_mub_per_cell": 14.0, "spacegroup": "P2/c", "energy_mp2020_ev_per_atom": -7.87, "lattice": [[4.985, 0.000, 0.000], [0.000, 6.692, 0.000], [-0.034, 0.000, 19.077]], "species": ["Mn", "Mn", "Mn", "Mn", "P", "P", "P", "P", "P", "P", "P", "P", "P", "P", "O", "O", "O", "O", "O", "O", "O", "O", "O", "O", "O", "O", "O", "O", "O", "O", "O", "O", "O", "O", "O", "O", "O", "O", "O", "O", "O", "O", "O", "O", "O", "O"], "frac_coords": [[0.247, 0.177, 0.094], [0.247, 0.823, 0.594], [0.753, 0.177, 0.406], [0.753, 0.823, 0.906], [0.242, 0.457, 0.369], [0.242, 0.543, 0.869], [0.259, 0.126, 0.924], [0.259, 0.874, 0.424], [0.500, 0.256, 0.250], [0.500, 0.744, 0.750], [0.741, 0.126, 0.576], [0.741, 0.874, 0.076], [0.758, 0.457, 0.131], [0.758, 0.543, 0.631], [0.052, 0.418, 0.116], [0.052, 0.582, 0.616], [0.072, 0.023, 0.387], [0.072, 0.977, 0.887], [0.157, 0.213, 0.992], [0.157, 0.787, 0.492], [0.281, 0.309, 0.868], [0.281, 0.691, 0.368], [0.297, 0.409, 0.288], [0.297, 0.591, 0.788], [0.350, 0.138, 0.196], [0.350, 0.862, 0.696], [0.442, 0.354, 0.417], [0.442, 0.646, 0.917], [0.449, 0.052, 0.572], [0.449, 0.948, 0.072], [0.551, 0.052, 0.928], [0.551, 0.948, 0.428], [0.558, 0.354, 0.083], [0.558, 0.646, 0.583], [0.650, 0.138, 0.304], [0.650, 0.862, 0.804], [0.703, 0.409, 0.212], [0.703, 0.591, 0.712], [0.719, 0.309, 0.632], [0.719, 0.691, 0.132], [0.843, 0.213, 0.508], [0.843, 0.787, 0.008], [0.928, 0.023, 0.113], [0.928, 0.977, 0.613], [0.948, 0.418, 0.384], [0.948, 0.582, 0.884]]}

=====

(6)
{"formula": "Mn2ZnO4", "functional": "PBE+U", "state": "relaxed", "formation_energy_mev_per_atom": -1795, "magnetic_moment_mub_per_cell": 32.0, "spacegroup": "Pnma", "relative_energy_ev_per_atom": 0.188, "energy_mp2020_ev_per_atom": -7.42, "lattice": [[9.108, 0.000, 0.000], [0.000, 3.008, 0.000], [0.000, 0.000, 10.495]], "species": ["Mn", "Mn", "Mn", "Mn", "Mn", "Mn", "Mn", "Mn", "Zn", "Zn", "Zn", "Zn", "O", "O", "O", "O", "O", "O", "O", "O", "O", "O", "O", "O", "O", "O", "O", "O"], "frac_coords": [[0.065, 0.250, 0.117], [0.084, 0.250, 0.605], [0.416, 0.750, 0.105], [0.435, 0.750, 0.617], [0.565, 0.250, 0.383], [0.584, 0.250, 0.895], [0.916, 0.750, 0.395], [0.935, 0.750, 0.883], [0.249, 0.250, 0.349], [0.251, 0.750, 0.849], [0.749, 0.250, 0.151], [0.751, 0.750, 0.651], [0.022, 0.750, 0.715], [0.098, 0.250, 0.929], [0.118, 0.750, 0.468], [0.218, 0.750, 0.181], [0.282, 0.250, 0.681], [0.382, 0.250, 0.968], [0.402, 0.750, 0.429], [0.478, 0.250, 0.215], [0.522, 0.750, 0.785], [0.598, 0.250, 0.571], [0.618, 0.750, 0.032], [0.718, 0.750, 0.319], [0.782, 0.250, 0.819], [0.882, 0.250, 0.532], [0.902, 0.750, 0.071], [0.978, 0.250, 0.285]]}